1.
The following is a DFT calculation (GGA+U) of a relaxed structure of Sr2CoSbO6.

Unit cell a=5.720 b=5.762 c=7.786 alpha=89.41 beta=90.00 gamma=90.00
Element x y z (fractional)
Sr  0.500  0.997  0.249
Sr  0.000  0.497  0.749
Sr  0.000  0.503  0.251
Sr  0.500  0.003  0.751
Co  0.500  0.500  0.000
Co  0.000  0.000  0.500
Sb  0.000  0.000  0.000
Sb  0.500  0.500  0.500
O  0.000  0.054  0.258
O  0.500  0.554  0.758
O  0.500  0.446  0.242
O  0.000  0.946  0.742
O  0.746  0.257  0.530
O  0.246  0.757  0.030
O  0.754  0.243  0.970
O  0.254  0.743  0.470
O  0.246  0.243  0.970
O  0.746  0.743  0.470
O  0.254  0.257  0.530
O  0.754  0.757  0.030

Results
corrected total energy (MP2020 scheme): -136.03 eV per cell
total energy: -6.226 eV per atom
formation enthalpy at 0 K: -2371 meV/atom


2.
The following is a DFT calculation (GGA+U) of a relaxed structure of CoSnC4Cl3O4.

Unit cell a=6.920 b=6.920 c=6.920 alpha=100.43 beta=100.43 gamma=100.43
Element x y z (fractional)
Co  0.266  0.266  0.266
Sn  0.002  0.002  0.002
C  0.064  0.300  0.388
C  0.300  0.388  0.064
C  0.388  0.064  0.300
C  0.451  0.451  0.451
Cl  0.893  0.701  0.105
Cl  0.701  0.105  0.893
Cl  0.105  0.893  0.701
O  0.328  0.472  0.939
O  0.571  0.571  0.571
O  0.472  0.939  0.328
O  0.939  0.328  0.472

Results
corrected total energy (MP2020 scheme): -84.77 eV per cell
total energy: -6.183 eV per atom
formation enthalpy at 0 K: -877 meV/atom


3.
The following is a DFT calculation (GGA+U) of a relaxed structure of Sr2HfCoO6.

Unit cell a=5.693 b=5.693 c=5.693 alpha=60.00 beta=60.00 gamma=60.00
Element x y z (fractional)
Sr  0.250  0.250  0.250
Sr  0.750  0.750  0.750
Hf  0.500  0.500  0.500
Co  0.000  0.000  0.000
O  0.756  0.244  0.244
O  0.244  0.756  0.756
O  0.756  0.244  0.756
O  0.244  0.756  0.244
O  0.756  0.756  0.244
O  0.244  0.244  0.756

Results
corrected total energy (MP2020 scheme): -78.15 eV per cell
total energy: -7.239 eV per atom
formation enthalpy at 0 K: -2802 meV/atom


4.
The following is a DFT calculation (GGA+U) of a relaxed structure of Li2MnC2O6.

Unit cell a=5.169 b=6.808 c=7.959 alpha=89.42 beta=91.36 gamma=68.97
Element x y z (fractional)
Li  0.261  0.074  0.420
Li  0.352  0.277  0.931
Li  0.642  0.725  0.073
Li  0.863  0.741  0.584
Mn  0.994  0.993  0.991
Mn  0.501  0.492  0.499
C  0.702  0.136  0.259
C  0.808  0.370  0.771
C  0.179  0.652  0.240
C  0.311  0.863  0.730
O  0.964  0.107  0.259
O  0.587  0.104  0.119
O  0.557  0.190  0.393
O  0.553  0.375  0.766
O  0.967  0.299  0.903
O  0.079  0.624  0.382
O  0.898  0.436  0.639
O  0.440  0.632  0.238
O  0.029  0.694  0.102
O  0.445  0.831  0.590
O  0.428  0.884  0.871
O  0.052  0.881  0.730

Results
corrected total energy (MP2020 scheme): -167.93 eV per cell
total energy: -7.107 eV per atom
formation enthalpy at 0 K: -2076 meV/atom
energy above the lowest structure with this stoichiometry: 0.027 eV/atom


5.
The following is a DFT calculation (GGA+U) of a relaxed structure of MgCr2Bi2O8.

Unit cell a=6.410 b=6.362 c=6.286 alpha=105.30 beta=105.65 gamma=118.34
Element x y z (fractional)
Mg  0.617  0.867  0.234
Cr  0.354  0.604  0.707
Cr  0.618  0.368  0.237
Bi  0.138  0.888  0.277
Bi  0.915  0.165  0.829
O  0.238  0.626  0.950
O  0.371  0.793  0.541
O  0.170  0.248  0.541
O  0.712  0.825  0.950
O  0.262  0.191  0.074
O  0.786  0.727  0.407
O  0.622  0.180  0.407
O  0.812  0.383  0.074

Results
corrected total energy (MP2020 scheme): -93.16 eV per cell
total energy: -6.436 eV per atom
formation enthalpy at 0 K: -1915 meV/atom
energy above the lowest structure with this stoichiometry: 0.025 eV/atom


6.
The following is a DFT calculation (GGA+U) of a relaxed structure of BaFe4Sn2O11.

Unit cell a=6.074 b=6.074 c=13.683 alpha=90.00 beta=90.00 gamma=119.97
Element x y z (fractional)
Ba  0.663  0.337  0.750
Ba  0.337  0.663  0.250
Fe  0.670  0.330  0.250
Fe  0.330  0.670  0.750
Fe  0.500  0.500  0.000
Fe  0.500  0.500  0.500
Fe  0.500  0.000  0.000
Fe  0.000  0.500  0.000
Fe  0.500  0.000  0.500
Fe  0.000  0.500  0.500
Sn  0.998  0.002  0.861
Sn  0.002  0.998  0.139
Sn  0.998  0.002  0.639
Sn  0.002  0.998  0.361
O  0.821  0.179  0.921
O  0.179  0.821  0.079
O  0.821  0.179  0.579
O  0.179  0.821  0.421
O  0.146  0.854  0.750
O  0.854  0.146  0.250
O  0.697  0.856  0.750
O  0.856  0.697  0.250
O  0.303  0.144  0.250
O  0.144  0.303  0.750
O  0.823  0.648  0.920
O  0.648  0.823  0.080
O  0.823  0.648  0.580
O  0.648  0.823  0.420
O  0.177  0.352  0.080
O  0.352  0.177  0.920
O  0.177  0.352  0.420
O  0.352  0.177  0.580
O  0.667  0.333  0.415
O  0.333  0.667  0.585
O  0.667  0.333  0.085
O  0.333  0.667  0.915

Results
corrected total energy (MP2020 scheme): -268.61 eV per cell
total energy: -6.540 eV per atom
formation enthalpy at 0 K: -2003 meV/atom
energy above the lowest structure with this stoichiometry: 0.000 eV/atom